Entry 1:
K3ScMo3O12: relaxed, PBE+U.

Output
energy relative to the lowest polymorph listed for this composition = 0 meV per atom

a = 9.580 Å, b = 11.133 Å, c = 13.936 Å
α = 90.00°, β = 90.00°, γ = 90.00°
Sites, in units of the cell vectors:
K (0.022, 0.015, 0.250)
K (0.022, 0.485, 0.750)
K (0.041, 0.250, 0.000)
K (0.041, 0.250, 0.500)
K (0.319, 0.727, 0.250)
K (0.319, 0.773, 0.750)
K (0.681, 0.227, 0.250)
K (0.681, 0.273, 0.750)
K (0.959, 0.750, 0.000)
K (0.959, 0.750, 0.500)
K (0.978, 0.515, 0.250)
K (0.978, 0.985, 0.750)
Sc (0.433, 0.250, 0.000)
Sc (0.433, 0.250, 0.500)
Sc (0.567, 0.750, 0.000)
Sc (0.567, 0.750, 0.500)
Mo (0.251, 0.548, 0.506)
Mo (0.251, 0.548, 0.994)
Mo (0.251, 0.952, 0.006)
Mo (0.251, 0.952, 0.494)
Mo (0.318, 0.170, 0.750)
Mo (0.318, 0.330, 0.250)
Mo (0.682, 0.670, 0.750)
Mo (0.682, 0.830, 0.250)
Mo (0.749, 0.048, 0.506)
Mo (0.749, 0.048, 0.994)
Mo (0.749, 0.452, 0.006)
Mo (0.749, 0.452, 0.494)
O (0.116, 0.576, 0.079)
O (0.116, 0.576, 0.421)
O (0.116, 0.924, 0.579)
O (0.116, 0.924, 0.921)
O (0.153, 0.241, 0.750)
O (0.153, 0.259, 0.250)
O (0.192, 0.609, 0.617)
O (0.192, 0.609, 0.883)
O (0.192, 0.891, 0.117)
O (0.192, 0.891, 0.383)
O (0.277, 0.115, 0.017)
O (0.277, 0.115, 0.483)
O (0.277, 0.385, 0.517)
O (0.277, 0.385, 0.983)
O (0.290, 0.013, 0.750)
O (0.290, 0.487, 0.250)
O (0.408, 0.625, 0.031)
O (0.408, 0.625, 0.469)
O (0.408, 0.875, 0.531)
O (0.408, 0.875, 0.969)
O (0.424, 0.211, 0.646)
O (0.424, 0.211, 0.854)
O (0.424, 0.289, 0.146)
O (0.424, 0.289, 0.354)
O (0.576, 0.711, 0.646)
O (0.576, 0.711, 0.854)
O (0.576, 0.789, 0.146)
O (0.576, 0.789, 0.354)
O (0.592, 0.125, 0.031)
O (0.592, 0.125, 0.469)
O (0.592, 0.375, 0.531)
O (0.592, 0.375, 0.969)
O (0.710, 0.513, 0.750)
O (0.710, 0.987, 0.250)
O (0.723, 0.615, 0.017)
O (0.723, 0.615, 0.483)
O (0.723, 0.885, 0.517)
O (0.723, 0.885, 0.983)
O (0.808, 0.109, 0.617)
O (0.808, 0.109, 0.883)
O (0.808, 0.391, 0.117)
O (0.808, 0.391, 0.383)
O (0.847, 0.741, 0.750)
O (0.847, 0.759, 0.250)
O (0.884, 0.076, 0.079)
O (0.884, 0.076, 0.421)
O (0.884, 0.424, 0.579)
O (0.884, 0.424, 0.921)

***

Entry 2:
KScMo2O8: relaxed, PBE+U.

a = 5.885 Å, b = 5.885 Å, c = 7.405 Å
α = 90.00°, β = 90.00°, γ = 120.00°
Sites, in units of the cell vectors:
K (0.000, 0.000, 0.000)
Sc (0.000, 0.000, 0.500)
Mo (0.333, 0.667, 0.748)
Mo (0.667, 0.333, 0.252)
O (0.164, 0.329, 0.672)
O (0.164, 0.836, 0.672)
O (0.329, 0.164, 0.328)
O (0.333, 0.667, 0.984)
O (0.667, 0.333, 0.016)
O (0.671, 0.836, 0.672)
O (0.836, 0.164, 0.328)
O (0.836, 0.671, 0.328)

***

Entry 3:
K4Mo6Se2O33: relaxed, PBE+U.

a = 8.813 Å, b = 10.117 Å, c = 10.173 Å
α = 66.19°, β = 76.27°, γ = 76.77°
Sites, in units of the cell vectors:
K (0.000, 0.000, 0.000)
K (0.009, 0.420, 0.576)
K (0.440, 0.583, 0.145)
K (0.571, 0.832, 0.431)
Mo (0.144, 0.007, 0.582)
Mo (0.180, 0.614, 0.848)
Mo (0.181, 0.273, 0.191)
Mo (0.829, 0.146, 0.385)
Mo (0.830, 0.806, 0.728)
Mo (0.867, 0.413, 0.993)
Se (0.082, 0.813, 0.392)
Se (0.928, 0.606, 0.184)
O (0.042, 0.456, 0.281)
O (0.043, 0.705, 0.034)
O (0.063, 0.113, 0.689)
O (0.093, 0.816, 0.735)
O (0.095, 0.159, 0.393)
O (0.121, 0.432, 0.009)
O (0.179, 0.716, 0.294)
O (0.216, 0.869, 0.446)
O (0.247, 0.134, 0.124)
O (0.247, 0.545, 0.710)
O (0.344, 0.994, 0.572)
O (0.351, 0.635, 0.887)
O (0.352, 0.317, 0.207)
O (0.403, 0.386, 0.500)
O (0.421, 0.939, 0.971)
O (0.476, 0.486, 0.478)
O (0.501, 0.932, 0.064)
O (0.577, 0.038, 0.033)
O (0.598, 0.274, 0.760)
O (0.620, 0.402, 0.695)
O (0.657, 0.103, 0.370)
O (0.659, 0.785, 0.689)
O (0.667, 0.424, 0.004)
O (0.764, 0.874, 0.866)
O (0.765, 0.286, 0.451)
O (0.794, 0.551, 0.129)
O (0.831, 0.704, 0.282)
O (0.889, 0.988, 0.567)
O (0.916, 0.260, 0.182)
O (0.917, 0.604, 0.841)
O (0.948, 0.307, 0.885)
O (0.966, 0.715, 0.542)
O (0.968, 0.963, 0.295)

***

Entry 4:
K2Mo2Se2O11: relaxed, PBE+U.

a = 10.470 Å, b = 15.089 Å, c = 6.899 Å
α = 90.00°, β = 90.00°, γ = 90.00°
Sites, in units of the cell vectors:
K (0.000, 0.000, 0.000)
K (0.000, 0.500, 0.000)
K (0.028, 0.250, 0.030)
K (0.472, 0.750, 0.530)
K (0.500, 0.000, 0.500)
K (0.500, 0.500, 0.500)
K (0.528, 0.250, 0.470)
K (0.972, 0.750, 0.970)
Mo (0.164, 0.127, 0.479)
Mo (0.164, 0.373, 0.479)
Mo (0.336, 0.627, 0.979)
Mo (0.336, 0.873, 0.979)
Mo (0.664, 0.127, 0.021)
Mo (0.664, 0.373, 0.021)
Mo (0.836, 0.627, 0.521)
Mo (0.836, 0.873, 0.521)
Se (0.162, 0.612, 0.511)
Se (0.162, 0.888, 0.511)
Se (0.338, 0.112, 0.011)
Se (0.338, 0.388, 0.011)
Se (0.662, 0.612, 0.989)
Se (0.662, 0.888, 0.989)
Se (0.838, 0.112, 0.489)
Se (0.838, 0.388, 0.489)
O (0.033, 0.603, 0.664)
O (0.033, 0.897, 0.664)
O (0.089, 0.116, 0.705)
O (0.089, 0.384, 0.705)
O (0.120, 0.250, 0.430)
O (0.178, 0.645, 0.044)
O (0.178, 0.855, 0.044)
O (0.186, 0.504, 0.421)
O (0.186, 0.996, 0.421)
O (0.208, 0.127, 0.160)
O (0.208, 0.373, 0.160)
O (0.292, 0.627, 0.660)
O (0.292, 0.873, 0.660)
O (0.314, 0.004, 0.921)
O (0.314, 0.496, 0.921)
O (0.322, 0.145, 0.544)
O (0.322, 0.355, 0.544)
O (0.380, 0.750, 0.930)
O (0.411, 0.616, 0.205)
O (0.411, 0.884, 0.205)
O (0.467, 0.103, 0.164)
O (0.467, 0.397, 0.164)
O (0.533, 0.603, 0.836)
O (0.533, 0.897, 0.836)
O (0.589, 0.116, 0.795)
O (0.589, 0.384, 0.795)
O (0.620, 0.250, 0.070)
O (0.678, 0.645, 0.456)
O (0.678, 0.855, 0.456)
O (0.686, 0.504, 0.079)
O (0.686, 0.996, 0.079)
O (0.708, 0.127, 0.340)
O (0.708, 0.373, 0.340)
O (0.792, 0.627, 0.840)
O (0.792, 0.873, 0.840)
O (0.814, 0.004, 0.579)
O (0.814, 0.496, 0.579)
O (0.822, 0.145, 0.956)
O (0.822, 0.355, 0.956)
O (0.880, 0.750, 0.570)
O (0.911, 0.616, 0.295)
O (0.911, 0.884, 0.295)
O (0.967, 0.103, 0.336)
O (0.967, 0.397, 0.336)

***

Entry 5:
KTbMo2O8: relaxed, PBE+U.

a = 7.525 Å, b = 7.525 Å, c = 7.787 Å
α = 118.32°, β = 118.32°, γ = 88.10°
Sites, in units of the cell vectors:
K (0.200, 0.800, 0.750)
K (0.800, 0.200, 0.250)
Tb (0.229, 0.771, 0.250)
Tb (0.771, 0.229, 0.750)
Mo (0.302, 0.305, 0.761)
Mo (0.305, 0.302, 0.261)
Mo (0.695, 0.698, 0.739)
Mo (0.698, 0.695, 0.239)
O (0.047, 0.207, 0.691)
O (0.068, 0.383, 0.125)
O (0.207, 0.047, 0.191)
O (0.231, 0.387, 0.561)
O (0.367, 0.585, 0.029)
O (0.383, 0.068, 0.625)
O (0.387, 0.231, 0.061)
O (0.415, 0.633, 0.471)
O (0.585, 0.367, 0.529)
O (0.613, 0.769, 0.939)
O (0.617, 0.932, 0.375)
O (0.633, 0.415, 0.971)
O (0.769, 0.613, 0.439)
O (0.793, 0.953, 0.809)
O (0.932, 0.617, 0.875)
O (0.953, 0.793, 0.309)

***

Entry 6:
KTbMo2O8: relaxed, PBE+U.

a = 5.158 Å, b = 18.468 Å, c = 8.162 Å
α = 90.00°, β = 90.00°, γ = 90.00°
Sites, in units of the cell vectors:
K (0.000, 0.230, 0.250)
K (0.000, 0.770, 0.750)
K (0.500, 0.270, 0.750)
K (0.500, 0.730, 0.250)
Tb (0.000, 0.006, 0.750)
Tb (0.000, 0.994, 0.250)
Tb (0.500, 0.494, 0.250)
Tb (0.500, 0.506, 0.750)
Mo (0.023, 0.399, 0.516)
Mo (0.023, 0.601, 0.016)
Mo (0.477, 0.101, 0.016)
Mo (0.477, 0.899, 0.516)
Mo (0.523, 0.101, 0.484)
Mo (0.523, 0.899, 0.984)
Mo (0.977, 0.399, 0.984)
Mo (0.977, 0.601, 0.484)
O (0.102, 0.311, 0.975)
O (0.102, 0.689, 0.475)
O (0.230, 0.401, 0.339)
O (0.230, 0.599, 0.839)
O (0.245, 0.407, 0.689)
O (0.245, 0.593, 0.189)
O (0.250, 0.035, 0.504)
O (0.250, 0.465, 0.004)
O (0.250, 0.535, 0.504)
O (0.250, 0.965, 0.004)
O (0.255, 0.093, 0.189)
O (0.255, 0.907, 0.689)
O (0.270, 0.099, 0.839)
O (0.270, 0.901, 0.339)
O (0.398, 0.189, 0.475)
O (0.398, 0.811, 0.975)
O (0.602, 0.189, 0.025)
O (0.602, 0.811, 0.525)
O (0.730, 0.099, 0.661)
O (0.730, 0.901, 0.161)
O (0.745, 0.093, 0.311)
O (0.745, 0.907, 0.811)
O (0.750, 0.035, 0.996)
O (0.750, 0.465, 0.496)
O (0.750, 0.535, 0.996)
O (0.750, 0.965, 0.496)
O (0.755, 0.407, 0.811)
O (0.755, 0.593, 0.311)
O (0.770, 0.401, 0.161)
O (0.770, 0.599, 0.661)
O (0.898, 0.311, 0.525)
O (0.898, 0.689, 0.025)

***

Number 1: formation energy from the elements -2411 meV/atom. Number 2: formation energy from the elements -2515 meV/atom. Number 3: formation energy from the elements -1151 meV/atom. Number 4: formation energy from the elements -1827 meV/atom. Number 5: formation energy from the elements -2534 meV/atom. Number 6: formation energy from the elements -2549 meV/atom.